# PBE with a Hubbard U Na4TeMo6H40N2O40, optimized geometry
# Crystal system: triclinic
# Total magnetic moment: 0.0 μB/f.u.
# Excess energy over the best structure of this formula in the dataset: 0 meV per atom
data_Na4TeMo6H40N2O40
_symmetry_space_group_name_H-M 'P -1'
_symmetry_Int_Tables_number 2
_cell_length_a 10.9724
_cell_length_b 10.9867
_cell_length_c 11.0397
_cell_angle_alpha 118.77
_cell_angle_beta 112.84
_cell_angle_gamma 96.71
loop_
_symmetry_equiv_pos_as_xyz
'x,y,z'
'-x,-y,-z'
loop_
_atom_site_label
_atom_site_type_symbol
_atom_site_fract_x
_atom_site_fract_y
_atom_site_fract_z
Na1 Na 0.1292 0.4610 0.1260
Na2 Na 0.2847 0.6522 0.7519
Te1 Te 0.0000 0.0000 0.5000
Mo1 Mo 0.0691 0.9597 0.2182
Mo2 Mo 0.2675 0.1742 0.8787
Mo3 Mo 0.3349 0.1345 0.5939
H1 H 0.0008 0.6086 0.4873
H2 H 0.0455 0.3541 0.8044
H3 H 0.1096 0.3160 0.5198
H4 H 0.1343 0.7876 0.9284
H5 H 0.1524 0.4184 0.3907
H6 H 0.1584 0.5133 0.9018
H7 H 0.1591 0.8799 0.8627
H8 H 0.1945 0.8197 0.5934
H9 H 0.1962 0.3022 0.2856
H10 H 0.2363 0.6998 0.4883
H11 H 0.2745 0.7939 0.3486
H12 H 0.3225 0.0714 0.2082
H13 H 0.3381 0.4547 0.8675
H14 H 0.3818 0.5256 0.5396
H15 H 0.3888 0.7197 0.3713
H16 H 0.4057 0.0301 0.1034
H17 H 0.4240 0.6204 0.0182
H18 H 0.4732 0.0353 0.2722
H19 H 0.4782 0.1987 0.2808
H20 H 0.4859 0.4321 0.2994
N1 N 0.4213 0.0844 0.2174
O1 O 0.0373 0.7926 0.0465
O2 O 0.0441 0.1620 0.7134
O3 O 0.0661 0.4608 0.8816
O4 O 0.0973 0.4088 0.5331
O5 O 0.1118 0.1316 0.4761
O6 O 0.1189 0.0273 0.8520
O7 O 0.1551 0.1046 0.2175
O8 O 0.1814 0.9895 0.6151
O9 O 0.1928 0.8111 0.8886
O10 O 0.2045 0.7228 0.5667
O11 O 0.2107 0.4095 0.3398
O12 O 0.2387 0.9591 0.3695
O13 O 0.2900 0.3381 0.0465
O14 O 0.2898 0.7056 0.3458
O15 O 0.3362 0.5570 0.9128
O16 O 0.3420 0.2732 0.7986
O17 O 0.4069 0.1200 0.9507
O18 O 0.4182 0.2715 0.5828
O19 O 0.4494 0.6075 0.6547
O20 O 0.4665 0.0720 0.6657

---

# PBE with a Hubbard U Sr24Fe16O53, optimized geometry
# Crystal system: monoclinic
# Total magnetic moment: 12.6 μB/f.u.
# Electronic total energy: -1133.305 eV/cell
data_Sr24Fe16O53
_symmetry_space_group_name_H-M 'C 1 2/m 1'
_symmetry_Int_Tables_number 12
_cell_length_a 12.4189
_cell_length_b 20.4481
_cell_length_c 11.1159
_cell_angle_alpha 90.00
_cell_angle_beta 116.56
_cell_angle_gamma 90.00
loop_
_symmetry_equiv_pos_as_xyz
'x,y,z'
'-x,-y,-z'
'-x,y,-z'
'x,-y,z'
'x+1/2,y+1/2,z'
'-x+1/2,-y+1/2,-z'
'-x+1/2,y+1/2,-z'
'x+1/2,-y+1/2,z'
loop_
_atom_site_label
_atom_site_type_symbol
_atom_site_fract_x
_atom_site_fract_y
_atom_site_fract_z
Sr1 Sr 0.0000 0.0000 0.0000
Sr2 Sr 0.0000 0.0000 0.5000
Sr3 Sr 0.0000 0.1814 0.0000
Sr4 Sr 0.0000 0.1831 0.5000
Sr5 Sr 0.0001 0.3191 0.2514
Sr6 Sr 0.0001 0.5000 0.2601
Sr7 Sr 0.2402 0.5000 0.6201
Sr8 Sr 0.2477 0.3171 0.6242
Sr9 Sr 0.2487 0.5000 0.1244
Sr10 Sr 0.2501 0.1833 0.8754
Fe1 Fe 0.0004 0.1053 0.2506
Fe2 Fe 0.0000 0.3950 0.0000
Fe3 Fe 0.0000 0.4018 0.5000
Fe4 Fe 0.2494 0.0952 0.1242
Fe5 Fe 0.2491 0.0953 0.6251
O1 O 0.0000 0.3007 0.0000
O2 O 0.0000 0.3044 0.5000
O3 O 0.0000 0.5000 0.5000
O4 O 0.0005 0.1994 0.7490
O5 O 0.1202 0.0899 0.1898
O6 O 0.1201 0.0899 0.4306
O7 O 0.1207 0.0893 0.6898
O8 O 0.1206 0.0893 0.9303
O9 O 0.1207 0.4102 0.1804
O10 O 0.1206 0.4103 0.9402
O11 O 0.1254 0.4041 0.4381
O12 O 0.1250 0.4043 0.6870
O13 O 0.2463 0.1918 0.1195
O14 O 0.2455 0.1920 0.6264
O15 O 0.2487 0.5000 0.3759
O16 O 0.2487 0.5000 0.8729

---

# PBE with a Hubbard U CsV2P2O12, optimized geometry
# Crystal system: monoclinic
# Total magnetic moment: 3.0 μB/f.u.
# Electronic total energy: -455.312 eV/cell
data_CsV2P2O12
_symmetry_space_group_name_H-M 'P 1 21/c 1'
_symmetry_Int_Tables_number 14
_cell_length_a 7.2927
_cell_length_b 18.1696
_cell_length_c 8.5476
_cell_angle_alpha 90.00
_cell_angle_beta 117.01
_cell_angle_gamma 90.00
loop_
_symmetry_equiv_pos_as_xyz
'x,y,z'
'-x,-y,-z'
'-x,y+1/2,-z+1/2'
'x,-y+1/2,z+1/2'
loop_
_atom_site_label
_atom_site_type_symbol
_atom_site_fract_x
_atom_site_fract_y
_atom_site_fract_z
Cs1 Cs 0.1302 0.1274 0.4712
V1 V 0.1457 0.1416 0.9866
V2 V 0.3563 0.6250 0.5240
P1 P 0.2957 0.7124 0.8211
P2 P 0.4936 0.5305 0.2611
O1 O 0.0512 0.0515 0.8088
O2 O 0.0704 0.6844 0.7338
O3 O 0.1108 0.6073 0.4746
O4 O 0.1880 0.2130 0.1160
O5 O 0.2906 0.0666 0.1613
O6 O 0.2961 0.7027 0.3439
O7 O 0.3316 0.1450 0.9131
O8 O 0.3644 0.5459 0.0644
O9 O 0.3736 0.5569 0.3640
O10 O 0.3918 0.6968 0.6930
O11 O 0.4254 0.6778 0.0016
O12 O 0.4807 0.5542 0.7146

---

# PBE with a Hubbard U Li2VF6, optimized geometry
# Crystal system: orthorhombic
# Excess energy over the best structure of this formula in the dataset: 18 meV per atom
data_Li2VF6
_symmetry_space_group_name_H-M 'P n a 21'
_symmetry_Int_Tables_number 33
_cell_length_a 9.7862
_cell_length_b 8.6875
_cell_length_c 5.0565
_cell_angle_alpha 90.00
_cell_angle_beta 90.00
_cell_angle_gamma 90.00
loop_
_symmetry_equiv_pos_as_xyz
'x,y,z'
'-x,-y,z+1/2'
'-x+1/2,y+1/2,z+1/2'
'x+1/2,-y+1/2,z'
loop_
_atom_site_label
_atom_site_type_symbol
_atom_site_fract_x
_atom_site_fract_y
_atom_site_fract_z
Li1 Li 0.1048 0.0472 0.0000
Li2 Li 0.1131 0.6342 0.5211
V1 V 0.1312 0.2625 0.5046
F1 F 0.0122 0.3990 0.3440
F2 F 0.0167 0.2454 0.8154
F3 F 0.0278 0.0947 0.3497
F4 F 0.2268 0.4391 0.6237
F5 F 0.2404 0.1277 0.6934
F6 F 0.2444 0.2529 0.2063

---

# PBE with a Hubbard U RbMnH2OF4, optimized geometry
# Crystal system: monoclinic
# Total magnetic moment: 4.0 μB/f.u.
# Electronic total energy: -374.231 eV/cell
data_RbMnH2OF4
_symmetry_space_group_name_H-M 'C 1 2/c 1'
_symmetry_Int_Tables_number 15
_cell_length_a 13.9840
_cell_length_b 6.6825
_cell_length_c 10.8738
_cell_angle_alpha 90.00
_cell_angle_beta 104.24
_cell_angle_gamma 90.00
loop_
_symmetry_equiv_pos_as_xyz
'x,y,z'
'-x,-y,-z'
'-x,y,-z+1/2'
'x,-y,z+1/2'
'x+1/2,y+1/2,z'
'-x+1/2,-y+1/2,-z'
'-x+1/2,y+1/2,-z+1/2'
'x+1/2,-y+1/2,z+1/2'
loop_
_atom_site_label
_atom_site_type_symbol
_atom_site_fract_x
_atom_site_fract_y
_atom_site_fract_z
Rb1 Rb 0.0792 0.2439 0.4403
Mn1 Mn 0.0000 0.2570 0.7500
Mn2 Mn 0.2500 0.2500 0.0000
H1 H 0.1800 0.4159 0.1983
H2 H 0.2050 0.1109 0.7522
O1 O 0.2353 0.3260 0.1947
F1 F 0.0690 0.4594 0.6855
F2 F 0.0725 0.0566 0.6908
F3 F 0.1056 0.2498 0.9353
F4 F 0.2486 0.0205 0.5360

---

# PBE with a Hubbard U LiCrFe4O8, optimized geometry
# Crystal system: monoclinic
# Total magnetic moment: 23.0 μB/f.u.
# Electronic total energy: -188.434 eV/cell
data_LiCrFe4O8
_symmetry_space_group_name_H-M 'C 1 2/m 1'
_symmetry_Int_Tables_number 12
_cell_length_a 10.2794
_cell_length_b 6.0111
_cell_length_c 5.9607
_cell_angle_alpha 90.00
_cell_angle_beta 124.71
_cell_angle_gamma 90.00
loop_
_symmetry_equiv_pos_as_xyz
'x,y,z'
'-x,-y,-z'
'-x,y,-z'
'x,-y,z'
'x+1/2,y+1/2,z'
'-x+1/2,-y+1/2,-z'
'-x+1/2,y+1/2,-z'
'x+1/2,-y+1/2,z'
loop_
_atom_site_label
_atom_site_type_symbol
_atom_site_fract_x
_atom_site_fract_y
_atom_site_fract_z
Li1 Li 0.0000 0.0000 0.0000
Cr1 Cr 0.0000 0.0000 0.5000
Fe1 Fe 0.1192 0.5000 0.3797
Fe2 Fe 0.2500 0.2500 0.0000
O1 O 0.0098 0.2385 0.7506
O2 O 0.2423 0.0000 0.7526
O3 O 0.2493 0.0000 0.2295

---

# PBE with a Hubbard U Li9Cr4B8O24, optimized geometry
# Crystal system: triclinic
# Total magnetic moment: 7.0 μB/f.u.
# Excess energy over the best structure of this formula in the dataset: 21 meV per atom
data_Li9Cr4B8O24
_symmetry_space_group_name_H-M 'P 1'
_symmetry_Int_Tables_number 1
_cell_length_a 6.0389
_cell_length_b 8.9439
_cell_length_c 9.4605
_cell_angle_alpha 65.63
_cell_angle_beta 88.99
_cell_angle_gamma 89.38
loop_
_symmetry_equiv_pos_as_xyz
'x,y,z'
loop_
_atom_site_label
_atom_site_type_symbol
_atom_site_fract_x
_atom_site_fract_y
_atom_site_fract_z
Li1 Li 0.0000 0.0000 0.0000
Li2 Li 0.0036 0.4574 0.9250
Li3 Li 0.1776 0.1559 0.5871
Li4 Li 0.2962 0.5591 0.2548
Li5 Li 0.5102 0.2369 0.4002
Li6 Li 0.5231 0.2325 0.9114
Li7 Li 0.5408 0.7220 0.3406
Li8 Li 0.6678 0.5782 0.7510
Li9 Li 0.9679 0.9812 0.4878
Cr1 Cr 0.2144 0.6153 0.6349
Cr2 Cr 0.2820 0.0840 0.1961
Cr3 Cr 0.7159 0.0837 0.6944
Cr4 Cr 0.7946 0.6150 0.1375
B1 B 0.0260 0.7997 0.8322
B2 B 0.0855 0.3048 0.2273
B3 B 0.4224 0.4010 0.6014
B4 B 0.4649 0.9052 0.9941
B5 B 0.5327 0.9069 0.4907
B6 B 0.5900 0.3975 0.1035
B7 B 0.9024 0.3095 0.7170
B8 B 0.9716 0.7947 0.3387
O1 O 0.0138 0.7729 0.4877
O2 O 0.0316 0.4561 0.2215
O3 O 0.0362 0.9433 0.2220
O4 O 0.0828 0.2687 0.0988
O5 O 0.1209 0.6733 0.8117
O6 O 0.1800 0.1755 0.3564
O7 O 0.3409 0.5343 0.4743
O8 O 0.3475 0.0301 0.0123
O9 O 0.4346 0.4264 0.7364
O10 O 0.4631 0.2496 0.5991
O11 O 0.4767 0.9383 0.3361
O12 O 0.4828 0.7573 0.6014
O13 O 0.5113 0.7560 0.1122
O14 O 0.5171 0.2546 0.1044
O15 O 0.5277 0.9399 0.8401
O16 O 0.5674 0.4392 0.2307
O17 O 0.6501 0.0270 0.5126
O18 O 0.7123 0.5165 0.9854
O19 O 0.8101 0.1750 0.8436
O20 O 0.8524 0.6854 0.3022
O21 O 0.9051 0.2751 0.5861
O22 O 0.9521 0.7847 0.9811
O23 O 0.9627 0.4505 0.7253
O24 O 0.9911 0.9550 0.7116

---

# PBE with a Hubbard U ZnCo4O10, optimized geometry
# Crystal system: monoclinic
# Total magnetic moment: 6.0 μB/f.u.
# Electronic total energy: -160.690 eV/cell
data_ZnCo4O10
_symmetry_space_group_name_H-M 'C 1 2/m 1'
_symmetry_Int_Tables_number 12
_cell_length_a 5.0353
_cell_length_b 14.3475
_cell_length_c 4.5282
_cell_angle_alpha 90.00
_cell_angle_beta 90.28
_cell_angle_gamma 90.00
loop_
_symmetry_equiv_pos_as_xyz
'x,y,z'
'-x,-y,-z'
'-x,y,-z'
'x,-y,z'
'x+1/2,y+1/2,z'
'-x+1/2,-y+1/2,-z'
'-x+1/2,y+1/2,-z'
'x+1/2,-y+1/2,z'
loop_
_atom_site_label
_atom_site_type_symbol
_atom_site_fract_x
_atom_site_fract_y
_atom_site_fract_z
Zn1 Zn 0.0000 0.0000 0.0000
Co1 Co 0.0000 0.2019 0.0000
Co2 Co 0.0000 0.3986 0.0000
O1 O 0.1420 0.5000 0.7895
O2 O 0.1651 0.2993 0.7944
O3 O 0.1729 0.1070 0.7932